Entry from the Materials Project: a relaxed Li3Dy3Te2O12 crystal (PBE).

E (MP2020), eV per atom: -7.03
Calculated formation energy, eV per atom: -2.7735
Uncorrected energy, eV/atom: -6.6218

a = 10.747 Å, b = 10.747 Å, c = 10.747 Å
α = 109.47°, β = 109.47°, γ = 109.47°
Element x y z (fractional)
Li: 0.125 0.750 0.875
Li: 0.125 0.875 0.250
Li: 0.250 0.125 0.875
Li: 0.250 0.625 0.375
Li: 0.375 0.250 0.625
Li: 0.375 0.625 0.750
Li: 0.625 0.375 0.250
Li: 0.625 0.750 0.375
Li: 0.750 0.375 0.625
Li: 0.750 0.875 0.125
Li: 0.875 0.125 0.750
Li: 0.875 0.250 0.125
Dy: 0.125 0.250 0.375
Dy: 0.125 0.375 0.750
Dy: 0.250 0.375 0.125
Dy: 0.250 0.875 0.625
Dy: 0.375 0.125 0.250
Dy: 0.375 0.750 0.125
Dy: 0.625 0.250 0.875
Dy: 0.625 0.875 0.750
Dy: 0.750 0.125 0.375
Dy: 0.750 0.625 0.875
Dy: 0.875 0.625 0.250
Dy: 0.875 0.750 0.625
Te: 0.000 0.000 0.000
Te: 0.000 0.000 0.500
Te: 0.000 0.500 0.000
Te: 0.000 0.500 0.500
Te: 0.500 0.000 0.000
Te: 0.500 0.000 0.500
Te: 0.500 0.500 0.000
Te: 0.500 0.500 0.500
O: 0.027 0.199 0.121
O: 0.027 0.328 0.907
O: 0.079 0.699 0.672
O: 0.079 0.879 0.407
O: 0.093 0.621 0.421
O: 0.093 0.973 0.672
O: 0.121 0.027 0.199
O: 0.121 0.593 0.921
O: 0.172 0.199 0.579
O: 0.172 0.473 0.593
O: 0.199 0.121 0.027
O: 0.199 0.579 0.172
O: 0.301 0.328 0.921
O: 0.301 0.473 0.379
O: 0.328 0.907 0.027
O: 0.328 0.921 0.301
O: 0.379 0.301 0.473
O: 0.379 0.579 0.907
O: 0.407 0.079 0.879
O: 0.407 0.828 0.527
O: 0.421 0.093 0.621
O: 0.421 0.828 0.801
O: 0.473 0.379 0.301
O: 0.473 0.593 0.172
O: 0.527 0.407 0.828
O: 0.527 0.621 0.699
O: 0.579 0.172 0.199
O: 0.579 0.907 0.379
O: 0.593 0.172 0.473
O: 0.593 0.921 0.121
O: 0.621 0.421 0.093
O: 0.621 0.699 0.527
O: 0.672 0.079 0.699
O: 0.672 0.093 0.973
O: 0.699 0.527 0.621
O: 0.699 0.672 0.079
O: 0.801 0.421 0.828
O: 0.801 0.879 0.973
O: 0.828 0.527 0.407
O: 0.828 0.801 0.421
O: 0.879 0.407 0.079
O: 0.879 0.973 0.801
O: 0.907 0.027 0.328
O: 0.907 0.379 0.579
O: 0.921 0.121 0.593
O: 0.921 0.301 0.328
O: 0.973 0.672 0.093
O: 0.973 0.801 0.879